# 1
# MgCo4O8, relaxed, DFT PBE with a Hubbard U
data_MgCo4O8
_space_group_name_H-M_alt 'P 1'
_space_group_IT_number 1
_space_group_name_Hall 'P 1'
_cell_length_a 5.9463
_cell_length_b 5.8210
_cell_length_c 5.7397
_cell_angle_alpha 118.63
_cell_angle_beta 118.59
_cell_angle_gamma 93.73
loop_
_atom_site_label
_atom_site_type_symbol
_atom_site_fract_x
_atom_site_fract_y
_atom_site_fract_z
_atom_site_occupancy
Mg1 Mg 0.4721 0.4945 0.5212 1
Co1 Co 0.4719 0.4910 0.0196 1
Co2 Co 0.9729 0.9911 0.5195 1
Co3 Co 0.9712 0.4899 0.0187 1
Co4 Co 0.9706 0.4899 0.5183 1
O1 O 0.7386 0.6965 0.0188 1
O2 O 0.1888 0.7142 0.4846 1
O3 O 0.2054 0.2855 0.0206 1
O4 O 0.1759 0.6964 0.9616 1
O5 O 0.7534 0.2665 0.5533 1
O6 O 0.2293 0.2572 0.5607 1
O7 O 0.7660 0.2832 0.0753 1
O8 O 0.7148 0.7250 0.4778 1
# energy of formation from the pure elements = -1292 meV/atom
# raw total energy = -5.721 eV per atom
# volume = 142 Å³/cell
# corrected total energy (MP2020 scheme) = -6.6475 eV per atom

---

# 2
# MgCo8O16, relaxed, DFT PBE with a Hubbard U
data_MgCo8O16
_space_group_name_H-M_alt 'P 1'
_space_group_IT_number 1
_space_group_name_Hall 'P 1'
_cell_length_a 2.8503
_cell_length_b 2.8465
_cell_length_c 39.9666
_cell_angle_alpha 88.03
_cell_angle_beta 85.06
_cell_angle_gamma 120.08
loop_
_atom_site_label
_atom_site_type_symbol
_atom_site_fract_x
_atom_site_fract_y
_atom_site_fract_z
_atom_site_occupancy
Mg1 Mg 0.6885 0.8285 0.6881 1
Co1 Co 0.9746 0.9990 0.0001 1
Co2 Co 0.8234 0.9209 0.6241 1
Co3 Co 0.6283 0.9958 0.8751 1
Co4 Co 0.7501 0.0098 0.2499 1
Co5 Co 0.4936 0.9957 0.4999 1
Co6 Co 0.2286 0.0725 0.7502 1
Co7 Co 0.3857 0.0095 0.1252 1
Co8 Co 0.1507 0.9989 0.3749 1
O1 O 0.7811 0.6277 0.5235 1
O2 O 0.7649 0.7112 0.1015 1
O3 O 0.5173 0.7060 0.7731 1
O4 O 0.9587 0.4513 0.7189 1
O5 O 0.6871 0.3670 0.9765 1
O6 O 0.5297 0.7006 0.3512 1
O7 O 0.7716 0.2973 0.3986 1
O8 O 0.2013 0.6210 0.6013 1
O9 O 0.4237 0.2085 0.6562 1
O10 O 0.0073 0.6975 0.8514 1
O11 O 0.2622 0.6310 0.0238 1
O12 O 0.4626 0.3778 0.2262 1
O13 O 0.0377 0.6418 0.2736 1
O14 O 0.2491 0.2941 0.8988 1
O15 O 0.2061 0.3637 0.4762 1
O16 O 0.0066 0.3078 0.1489 1
# energy of formation from the pure elements = -1167 meV/atom
# raw total energy = -5.709 eV per atom
# volume = 278 Å³/cell
# corrected total energy (MP2020 scheme) = -6.6724 eV per atom

---

# 3
# MgCo2O4, relaxed, DFT PBE with a Hubbard U
data_MgCo2O4
_space_group_name_H-M_alt 'P 1'
_space_group_IT_number 1
_space_group_name_Hall 'P 1'
_cell_length_a 5.8042
_cell_length_b 5.9806
_cell_length_c 5.8043
_cell_angle_alpha 117.39
_cell_angle_beta 92.15
_cell_angle_gamma 118.30
loop_
_atom_site_label
_atom_site_type_symbol
_atom_site_fract_x
_atom_site_fract_y
_atom_site_fract_z
_atom_site_occupancy
Mg1 Mg 0.6312 0.7500 0.3812 1
Mg2 Mg 0.3688 0.2500 0.6188 1
Co1 Co 0.0000 0.5000 0.5000 1
Co2 Co 0.0000 0.0000 0.0000 1
Co3 Co 0.0000 0.5000 0.0000 1
Co4 Co 0.5000 0.0000 0.0000 1
O1 O 0.7821 0.5080 0.7476 1
O2 O 0.2396 0.9920 0.7741 1
O3 O 0.2259 0.9705 0.2150 1
O4 O 0.2179 0.4920 0.2524 1
O5 O 0.7555 0.4705 0.2446 1
O6 O 0.7604 0.0080 0.2259 1
O7 O 0.2445 0.5295 0.7554 1
O8 O 0.7741 0.0295 0.7850 1
# energy of formation from the pure elements = -1733 meV/atom
# raw total energy = -5.959 eV per atom
# volume = 149 Å³/cell
# corrected total energy (MP2020 scheme) = -6.8196 eV per atom

---

# 4
# MgCo4O6, relaxed, DFT PBE with a Hubbard U
data_MgCo4O6
_space_group_name_H-M_alt 'P 1'
_space_group_IT_number 1
_space_group_name_Hall 'P 1'
_cell_length_a 5.1571
_cell_length_b 5.1571
_cell_length_c 15.1318
_cell_angle_alpha 90.00
_cell_angle_beta 90.00
_cell_angle_gamma 146.60
loop_
_atom_site_label
_atom_site_type_symbol
_atom_site_fract_x
_atom_site_fract_y
_atom_site_fract_z
_atom_site_occupancy
Mg1 Mg 0.3419 0.6581 0.7500 1
Mg2 Mg 0.6581 0.3419 0.2500 1
Co1 Co 0.1357 0.8643 0.0478 1
Co2 Co 0.5967 0.4033 0.6396 1
Co3 Co 0.8643 0.1357 0.9522 1
Co4 Co 0.4033 0.5967 0.3604 1
Co5 Co 0.1357 0.8643 0.4522 1
Co6 Co 0.8643 0.1357 0.5478 1
Co7 Co 0.4033 0.5967 0.1396 1
Co8 Co 0.5967 0.4033 0.8604 1
O1 O 0.5000 0.5000 0.5000 1
O2 O 0.5000 0.5000 0.0000 1
O3 O 0.9453 0.0547 0.8410 1
O4 O 0.0547 0.9453 0.1590 1
O5 O 0.0547 0.9453 0.3410 1
O6 O 0.9453 0.0547 0.6590 1
O7 O 0.2240 0.7760 0.9267 1
O8 O 0.7760 0.2240 0.0733 1
O9 O 0.7760 0.2240 0.4267 1
O10 O 0.2240 0.7760 0.5733 1
O11 O 0.6983 0.3017 0.7500 1
O12 O 0.3017 0.6983 0.2500 1
# energy of formation from the pure elements = -1460 meV/atom
# raw total energy = -5.919 eV per atom
# volume = 222 Å³/cell
# corrected total energy (MP2020 scheme) = -6.8896 eV per atom

---

# 5
# MgCo2O4, relaxed, DFT PBE with a Hubbard U
data_MgCo2O4
_space_group_name_H-M_alt 'P 1'
_space_group_IT_number 1
_space_group_name_Hall 'P 1'
_cell_length_a 6.0274
_cell_length_b 6.0274
_cell_length_c 6.0274
_cell_angle_alpha 121.44
_cell_angle_beta 121.44
_cell_angle_gamma 87.53
loop_
_atom_site_label
_atom_site_type_symbol
_atom_site_fract_x
_atom_site_fract_y
_atom_site_fract_z
_atom_site_occupancy
Mg1 Mg 0.2500 0.7500 0.5000 1
Mg2 Mg 0.5000 0.5000 0.0000 1
Co1 Co 0.8750 0.6250 0.7500 1
Co2 Co 0.8750 0.1250 0.2500 1
Co3 Co 0.3750 0.1250 0.2500 1
Co4 Co 0.8750 0.1250 0.7500 1
O1 O 0.6224 0.3684 0.7168 1
O2 O 0.0944 0.3776 0.7460 1
O3 O 0.6316 0.3483 0.2540 1
O4 O 0.0983 0.3444 0.2168 1
O5 O 0.1184 0.9017 0.2460 1
O6 O 0.6556 0.8724 0.7540 1
O7 O 0.6517 0.9056 0.2832 1
O8 O 0.1276 0.8816 0.7832 1
# energy of formation from the pure elements = -1741 meV/atom
# raw total energy = -5.967 eV per atom
# volume = 151 Å³/cell
# corrected total energy (MP2020 scheme) = -6.8276 eV per atom

---

# 6
# MgCo2O4, relaxed, DFT PBE with a Hubbard U
data_MgCo2O4
_space_group_name_H-M_alt 'P 1'
_space_group_IT_number 1
_space_group_name_Hall 'P 1'
_cell_length_a 2.9295
_cell_length_b 9.6170
_cell_length_c 9.6695
_cell_angle_alpha 90.00
_cell_angle_beta 90.00
_cell_angle_gamma 90.00
loop_
_atom_site_label
_atom_site_type_symbol
_atom_site_fract_x
_atom_site_fract_y
_atom_site_fract_z
_atom_site_occupancy
Mg1 Mg 0.7614 0.2500 0.8604 1
Mg2 Mg 0.7614 0.7500 0.6396 1
Mg3 Mg 0.2386 0.2500 0.3604 1
Mg4 Mg 0.2386 0.7500 0.1396 1
Co1 Co 0.2530 0.0721 0.6170 1
Co2 Co 0.2530 0.5721 0.8830 1
Co3 Co 0.7470 0.5721 0.3830 1
Co4 Co 0.2530 0.9279 0.8830 1
Co5 Co 0.7470 0.9279 0.3830 1
Co6 Co 0.2530 0.4279 0.6170 1
Co7 Co 0.7470 0.4279 0.1170 1
Co8 Co 0.7470 0.0721 0.1170 1
O1 O 0.7503 0.3854 0.4727 1
O2 O 0.2497 0.6146 0.5273 1
O3 O 0.7553 0.5000 0.7500 1
O4 O 0.2497 0.3854 0.9727 1
O5 O 0.2497 0.1146 0.9727 1
O6 O 0.2603 0.7500 0.7933 1
O7 O 0.7503 0.6146 0.0273 1
O8 O 0.7397 0.7500 0.2933 1
O9 O 0.7553 0.0000 0.7500 1
O10 O 0.2447 0.5000 0.2500 1
O11 O 0.7503 0.1146 0.4727 1
O12 O 0.7397 0.2500 0.2067 1
O13 O 0.2603 0.2500 0.7067 1
O14 O 0.2447 0.0000 0.2500 1
O15 O 0.7503 0.8854 0.0273 1
O16 O 0.2497 0.8854 0.5273 1
# energy of formation from the pure elements = -1622 meV/atom
# raw total energy = -5.848 eV per atom
# volume = 272 Å³/cell
# corrected total energy (MP2020 scheme) = -6.7090 eV per atom